{
  "formula": "InAgP2H2O8",
  "functional": "PBE-GGA",
  "state": "relaxed",
  "total_energy_ev_per_cell": -344.3,
  "magnetic_moment_mub_per_cell": 0.00,
  "lattice": [[6.7189, 0.0000, 0.0000], [0.0000, 14.9986, 0.0000], [-0.7813, 0.0000, 6.7270]],
  "species": ["In", "In", "In", "In", "Ag", "Ag", "Ag", "Ag", "P", "P", "P", "P", "P", "P", "P", "P", "H", "H", "H", "H", "H", "H", "H", "H", "O", "O", "O", "O", "O", "O", "O", "O", "O", "O", "O", "O", "O", "O", "O", "O", "O", "O", "O", "O", "O", "O", "O", "O", "O", "O", "O", "O", "O", "O", "O", "O"],
  "frac_coords": [[0.2274, 0.1087, 0.3800], [0.2274, 0.3913, 0.8800], [0.7726, 0.6087, 0.1200], [0.7726, 0.8913, 0.6200], [0.2091, 0.5643, 0.4871], [0.2091, 0.9357, 0.9871], [0.7909, 0.0643, 0.0129], [0.7909, 0.4357, 0.5129], [0.2512, 0.6142, 0.9985], [0.2512, 0.8858, 0.4985], [0.2679, 0.1560, 0.8822], [0.2679, 0.3440, 0.3822], [0.7321, 0.6560, 0.6178], [0.7321, 0.8440, 0.1178], [0.7488, 0.1142, 0.5015], [0.7488, 0.3858, 0.0015], [0.0634, 0.7167, 0.8141], [0.0634, 0.7833, 0.3141], [0.4477, 0.7318, 0.5707], [0.4477, 0.7682, 0.0707], [0.5523, 0.2318, 0.9293], [0.5523, 0.2682, 0.4293], [0.9366, 0.2167, 0.6859], [0.9366, 0.2833, 0.1859], [0.0990, 0.5997, 0.1506], [0.0990, 0.9003, 0.6506], [0.1633, 0.2468, 0.8546], [0.1633, 0.2532, 0.3546], [0.1960, 0.1012, 0.0545], [0.1960, 0.3988, 0.5545], [0.2014, 0.7038, 0.8754], [0.2014, 0.7962, 0.3754], [0.2334, 0.0991, 0.6943], [0.2334, 0.4009, 0.1943], [0.2515, 0.5359, 0.8504], [0.2515, 0.9641, 0.3504], [0.4584, 0.6359, 0.1089], [0.4584, 0.8641, 0.6089], [0.4954, 0.6697, 0.5636], [0.4954, 0.8303, 0.0636], [0.5046, 0.1697, 0.9364], [0.5046, 0.3303, 0.4364], [0.5416, 0.1359, 0.3911], [0.5416, 0.3641, 0.8911], [0.7485, 0.0359, 0.6496], [0.7485, 0.4641, 0.1496], [0.7666, 0.5991, 0.8057], [0.7666, 0.9009, 0.3057], [0.7986, 0.2038, 0.6246], [0.7986, 0.2962, 0.1246], [0.8040, 0.6012, 0.4455], [0.8040, 0.8988, 0.9455], [0.8367, 0.7468, 0.6454], [0.8367, 0.7532, 0.1454], [0.9010, 0.0997, 0.3494], [0.9010, 0.4003, 0.8494]]
}